(1)
A relaxed structure of LiMn3Al2H6O12, computed with GGA+U.

Cell: 5.104 8.967 19.142 Å, 90.00 95.40 90.00°
Space group Cc (No. 9)
One atom of each set of equivalent atoms:
1 Li 0.000 0.083 0.000 (multiplicity 4)
2 Mn 0.248 0.085 0.750 (multiplicity 4)
3 Mn 0.250 0.417 0.750 (multiplicity 4)
4 Mn 0.252 0.251 0.250 (multiplicity 4)
5 Al 0.000 0.250 0.500 (multiplicity 4)
6 Al 0.001 0.417 0.000 (multiplicity 4)
7 H 0.117 0.416 0.397 (multiplicity 4)
8 H 0.136 0.255 0.897 (multiplicity 4)
9 H 0.139 0.091 0.397 (multiplicity 4)
10 H 0.362 0.241 0.603 (multiplicity 4)
11 H 0.363 0.406 0.103 (multiplicity 4)
12 H 0.383 0.083 0.103 (multiplicity 4)
13 O 0.090 0.235 0.804 (multiplicity 4)
14 O 0.099 0.411 0.301 (multiplicity 4)
15 O 0.102 0.083 0.300 (multiplicity 4)
16 O 0.119 0.417 0.448 (multiplicity 4)
17 O 0.164 0.099 0.448 (multiplicity 4)
18 O 0.164 0.266 0.948 (multiplicity 4)
19 O 0.337 0.235 0.552 (multiplicity 4)
20 O 0.338 0.402 0.052 (multiplicity 4)
21 O 0.381 0.083 0.052 (multiplicity 4)
22 O 0.399 0.084 0.200 (multiplicity 4)
23 O 0.402 0.244 0.699 (multiplicity 4)
24 O 0.411 0.402 0.196 (multiplicity 4)

Computed properties:
The value obtained for the spin magnetization is 40.00 μB per cell. The value obtained for the final energy is -6.36 eV/atom.

---

(2)
A relaxed structure of MgZn2W2O8, computed with GGA+U.

Cell: 5.353 5.431 6.205 Å, 92.70 91.89 109.93°
Space group P1 (No. 1)
One atom of each set of equivalent atoms:
1 Mg 0.000 0.000 0.000 (multiplicity 1)
2 Zn 0.439 0.756 0.038 (multiplicity 1)
3 Zn 0.779 0.954 0.553 (multiplicity 1)
4 W 0.344 0.402 0.542 (multiplicity 1)
5 W 0.845 0.420 0.252 (multiplicity 1)
6 O 0.066 0.676 0.057 (multiplicity 1)
7 O 0.088 0.186 0.289 (multiplicity 1)
8 O 0.111 0.604 0.494 (multiplicity 1)
9 O 0.119 0.149 0.728 (multiplicity 1)
10 O 0.573 0.680 0.758 (multiplicity 1)
11 O 0.600 0.219 0.488 (multiplicity 1)
12 O 0.613 0.648 0.305 (multiplicity 1)
13 O 0.674 0.142 0.045 (multiplicity 1)

Computed properties:
The value obtained for the spin magnetization is 2.00 μB per cell. The value obtained for the final energy is -6.33 eV/atom.

---

(3)
A relaxed structure of Ba2YCr3O8, computed with GGA+U.

Cell: 3.974 3.973 11.808 Å, 90.00 90.06 90.00°
Space group P2/m (No. 10)
One atom of each set of equivalent atoms:
1 Ba 0.000 0.000 0.162 (multiplicity 2)
2 Y 0.000 0.000 0.500 (multiplicity 1)
3 Cr 0.500 0.500 0.000 (multiplicity 1)
4 Cr 0.500 0.500 0.342 (multiplicity 2)
5 O 0.000 0.500 0.000 (multiplicity 1)
6 O 0.000 0.500 0.381 (multiplicity 2)
7 O 0.500 0.000 0.000 (multiplicity 1)
8 O 0.500 0.000 0.381 (multiplicity 2)
9 O 0.500 0.500 0.180 (multiplicity 2)

Computed properties:
The value obtained for the spin magnetization is 9.00 μB per cell. The value obtained for the final energy is -7.58 eV/atom.

---

(4)
A relaxed structure of Na3Np6FeF30, computed with GGA+U.

Cell: 9.9305 9.9305 12.9672 Å, 90.00 90.00 120.00°
Space group P-3c1 (No. 165)
One atom of each set of equivalent atoms:
1 Na 0.0000 0.0000 0.0000 (multiplicity 2)
2 Na 0.3333 0.6667 0.1581 (multiplicity 4)
3 Np 0.0784 0.4020 0.3984 (multiplicity 12)
4 Fe 0.0000 0.0000 0.2500 (multiplicity 2)
5 F 0.0799 0.1818 0.3386 (multiplicity 12)
6 F 0.1178 0.5315 0.5504 (multiplicity 12)
7 F 0.1186 0.3113 0.0197 (multiplicity 12)
8 F 0.1298 0.4375 0.2155 (multiplicity 12)
9 F 0.1730 0.5122 0.8632 (multiplicity 12)

Computed properties:
The value obtained for the spin magnetization is 26.00 μB per cell. The value obtained for the final energy is -6.86 eV/atom.

---

(5)
A relaxed structure of MgCo4Te8O20, computed with GGA+U.

Cell: 6.263 10.666 7.579 Å, 90.00 92.15 90.00°
Space group P2 (No. 3)
One atom of each set of equivalent atoms:
1 Mg 0.000 0.000 0.000 (multiplicity 1)
2 Co 0.000 0.237 0.500 (multiplicity 1)
3 Co 0.000 0.730 0.000 (multiplicity 1)
4 Co 0.500 0.359 0.500 (multiplicity 1)
5 Co 0.500 0.871 0.000 (multiplicity 1)
6 Te 0.232 0.457 0.867 (multiplicity 2)
7 Te 0.244 0.961 0.638 (multiplicity 2)
8 Te 0.264 0.648 0.361 (multiplicity 2)
9 Te 0.290 0.173 0.157 (multiplicity 2)
10 O 0.000 0.368 0.000 (multiplicity 1)
11 O 0.000 0.870 0.500 (multiplicity 1)
12 O 0.055 0.599 0.809 (multiplicity 2)
13 O 0.074 0.097 0.701 (multiplicity 2)
14 O 0.181 0.878 0.864 (multiplicity 2)
15 O 0.192 0.370 0.653 (multiplicity 2)
16 O 0.303 0.742 0.149 (multiplicity 2)
17 O 0.304 0.214 0.407 (multiplicity 2)
18 O 0.425 0.503 0.309 (multiplicity 2)
19 O 0.475 0.022 0.185 (multiplicity 2)
20 O 0.500 0.263 0.000 (multiplicity 1)
21 O 0.500 0.740 0.500 (multiplicity 1)

Computed properties:
The value obtained for the spin magnetization is 12.00 μB per cell. The value obtained for the final energy is -5.42 eV/atom.

---

(6)
A relaxed structure of SrCr2O7, computed with GGA+U.

Cell: 11.341 11.341 9.828 Å, 90.00 90.00 90.00°
Space group P4_2/nmc (No. 137, origin choice 2)
One atom of each set of equivalent atoms:
1 Sr 0.050 0.550 0.250 (multiplicity 8)
2 Cr 0.100 0.750 0.555 (multiplicity 8)
3 Cr 0.110 0.250 0.016 (multiplicity 8)
4 O 0.008 0.250 0.895 (multiplicity 8)
5 O 0.036 0.632 0.613 (multiplicity 16)
6 O 0.095 0.750 0.386 (multiplicity 8)
7 O 0.101 0.133 0.111 (multiplicity 16)
8 O 0.250 0.250 0.434 (multiplicity 4)
9 O 0.250 0.750 0.605 (multiplicity 4)

Computed properties:
The value obtained for the final energy is -6.78 eV/atom.

---

(7)
A relaxed structure of LaMgVCrO6, computed with GGA+U.

Cell: 5.333 5.478 9.358 Å, 90.00 124.19 90.00°
Space group Pc (No. 7)
One atom of each set of equivalent atoms:
1 La 0.000 0.213 0.000 (multiplicity 2)
2 Mg 0.523 0.303 0.499 (multiplicity 2)
3 V 0.760 0.254 0.252 (multiplicity 2)
4 Cr 0.258 0.250 0.751 (multiplicity 2)
5 O 0.132 0.225 0.501 (multiplicity 2)
6 O 0.432 0.299 0.005 (multiplicity 2)
7 O 0.514 0.061 0.307 (multiplicity 2)
8 O 0.595 0.473 0.811 (multiplicity 2)
9 O 0.885 0.054 0.692 (multiplicity 2)
10 O 0.986 0.465 0.208 (multiplicity 2)

Computed properties:
The value obtained for the spin magnetization is 8.00 μB per cell. The value obtained for the final energy is -7.61 eV/atom.

---

(8)
A relaxed structure of CoH8Cl2O4, computed with GGA+U.

Cell: 6.118 9.656 11.655 Å, 90.00 110.81 90.00°
Space group P2_1/c (No. 14)
One atom of each set of equivalent atoms:
1 Co 0.247 0.178 0.231 (multiplicity 4)
2 H 0.009 0.152 0.386 (multiplicity 4)
3 H 0.033 0.555 0.590 (multiplicity 4)
4 H 0.035 0.519 0.195 (multiplicity 4)
5 H 0.310 0.560 0.618 (multiplicity 4)
6 H 0.331 0.694 0.297 (multiplicity 4)
7 H 0.385 0.589 0.063 (multiplicity 4)
8 H 0.466 0.202 0.072 (multiplicity 4)
9 H 0.473 0.042 0.650 (multiplicity 4)
10 Cl 0.023 0.685 0.934 (multiplicity 4)
11 Cl 0.357 0.136 0.881 (multiplicity 4)
12 O 0.027 0.621 0.200 (multiplicity 4)
13 O 0.181 0.507 0.630 (multiplicity 4)
14 O 0.484 0.051 0.368 (multiplicity 4)
15 O 0.491 0.729 0.341 (multiplicity 4)

Computed properties:
The value obtained for the spin magnetization is 12.00 μB per cell. The value obtained for the final energy is -4.71 eV/atom.

---

Computed values of energy of formation from the pure elements (unit: meV/atom) for the preceding records, in sequence: -2049; -2079; -2768; -3573; -1368; -2094; -2894; -1156.